This record from Materials Project describes crystalline H32RuC8N4Cl7 at its relaxed geometry. The functional is PBE.

Output
**Size of the total moment**: 2.00 μB/cell
**Formation enthalpy at 0 K**: -0.425 eV per atom
**Crystal system**: orthorhombic
**Total energy**: -4.92 eV per atom

CIF file:
```
data_H32RuC8N4Cl7
_chemical_formula_sum 'H64 Ru2 C16 N8 Cl14'
_cell_length_a 10.270
_cell_length_b 12.932
_cell_length_c 8.850
_cell_angle_alpha 90.00
_cell_angle_beta 90.00
_cell_angle_gamma 90.00
_space_group_name_H-M_alt 'P 21 21 2'
_space_group_IT_number 18
loop_
_space_group_symop_operation_xyz
'x,y,z'
'-x,-y,z'
'x+1/2,-y+1/2,-z'
'-x+1/2,y+1/2,-z'
loop_
_atom_site_label
_atom_site_fract_x
_atom_site_fract_y
_atom_site_fract_z
H1 0.017 0.161 0.322
H2 0.030 0.159 0.601
H3 0.073 0.607 0.109
H4 0.087 0.945 0.610
H5 0.098 0.944 0.325
H6 0.117 0.827 0.708
H7 0.137 0.740 0.475
H8 0.139 0.827 0.232
H9 0.153 0.483 0.099
H10 0.163 0.752 0.953
H11 0.177 0.059 0.048
H12 0.178 0.574 0.864
H13 0.180 0.235 0.963
H14 0.198 0.228 0.164
H15 0.230 0.588 0.194
H16 0.239 0.840 0.480
Ru1 0.000 0.500 0.580
C1 0.073 0.862 0.607
C2 0.086 0.860 0.327
C3 0.167 0.567 0.099
C4 0.244 0.211 0.055
N1 0.141 0.820 0.471
N2 0.232 0.598 0.956
Cl1 0.000 0.000 0.988
Cl2 0.074 0.386 0.775
Cl3 0.075 0.380 0.394
Cl4 0.210 0.584 0.575
```

This record from Materials Project describes crystalline SnH10C3SN3Cl2 at its relaxed geometry. The functional is PBE.

Output
**Size of the total moment**: 4.11 μB/cell
**Formation enthalpy at 0 K**: -0.271 eV per atom
**Crystal system**: monoclinic
**Total energy**: -5.11 eV per atom

CIF file:
```
data_SnH10C3SN3Cl2
_chemical_formula_sum 'Sn4 H40 C12 S4 N12 Cl8'
_cell_length_a 13.849
_cell_length_b 6.368
_cell_length_c 13.795
_cell_angle_alpha 90.00
_cell_angle_beta 109.24
_cell_angle_gamma 90.00
_space_group_name_H-M_alt 'P 1 2/c 1'
_space_group_IT_number 13
loop_
_space_group_symop_operation_xyz
'x,y,z'
'-x,-y,-z'
'-x,y,-z+1/2'
'x,-y,z+1/2'
loop_
_atom_site_label
_atom_site_fract_x
_atom_site_fract_y
_atom_site_fract_z
Sn1 0.179 0.154 0.046
H1 0.063 0.385 0.887
H2 0.075 0.169 0.178
H3 0.076 0.123 0.845
H4 0.159 0.394 0.200
H5 0.179 0.309 0.864
H6 0.208 0.140 0.249
H7 0.306 0.433 0.591
H8 0.416 0.235 0.356
H9 0.438 0.044 0.863
H10 0.469 0.468 0.124
C1 0.116 0.257 0.890
C2 0.151 0.224 0.186
C3 0.436 0.148 0.106
S1 0.346 0.047 0.574
N1 0.312 0.408 0.084
N2 0.408 0.354 0.106
N3 0.465 0.109 0.369
Cl1 0.111 0.216 0.523
Cl2 0.398 0.391 0.844
```

This record from Materials Project describes crystalline SbH6CN3Cl6 at its relaxed geometry. The functional is PBE.

Output
**Size of the total moment**: 0.00 μB/cell
**Formation enthalpy at 0 K**: -0.750 eV per atom
**Crystal system**: triclinic
**Total energy**: -4.64 eV per atom

CIF file:
```
data_SbH6CN3Cl6
_chemical_formula_sum 'Sb2 H12 C2 N6 Cl12'
_cell_length_a 7.710
_cell_length_b 7.892
_cell_length_c 14.172
_cell_angle_alpha 94.56
_cell_angle_beta 104.24
_cell_angle_gamma 113.95
_space_group_name_H-M_alt 'P -1'
_space_group_IT_number 2
loop_
_space_group_symop_operation_xyz
'x,y,z'
'-x,-y,-z'
loop_
_atom_site_label
_atom_site_fract_x
_atom_site_fract_y
_atom_site_fract_z
Sb1 0.000 0.000 0.000
Sb2 0.000 0.500 0.500
H1 0.246 0.031 0.757
H2 0.273 0.491 0.244
H3 0.287 0.078 0.645
H4 0.331 0.558 0.094
H5 0.435 0.642 0.356
H6 0.465 0.238 0.907
C1 0.493 0.276 0.769
N1 0.329 0.118 0.720
N2 0.399 0.610 0.281
N3 0.451 0.681 0.132
Cl1 0.059 0.245 0.905
Cl2 0.070 0.816 0.881
Cl3 0.109 0.503 0.674
Cl4 0.153 0.298 0.464
Cl5 0.307 0.776 0.518
Cl6 0.347 0.154 0.095
```

This record from Materials Project describes crystalline SbH24C6N3Cl6 at its relaxed geometry. The functional is PBE.

Output
**Formation enthalpy at 0 K**: -0.512 eV per atom
**Crystal system**: triclinic
**Total energy**: -4.85 eV per atom

CIF file:
```
data_SbH24C6N3Cl6
_chemical_formula_sum 'Sb2 H48 C12 N6 Cl12'
_cell_length_a 9.587
_cell_length_b 10.243
_cell_length_c 11.244
_cell_angle_alpha 64.92
_cell_angle_beta 77.74
_cell_angle_gamma 77.13
_space_group_name_H-M_alt 'P -1'
_space_group_IT_number 2
loop_
_space_group_symop_operation_xyz
'x,y,z'
'-x,-y,-z'
loop_
_atom_site_label
_atom_site_fract_x
_atom_site_fract_y
_atom_site_fract_z
Sb1 0.173 0.486 0.349
H1 0.001 0.839 0.351
H2 0.038 0.016 0.611
H3 0.042 0.993 0.885
H4 0.064 0.149 0.025
H5 0.073 0.836 0.846
H6 0.121 0.873 0.423
H7 0.171 0.085 0.237
H8 0.179 0.559 0.864
H9 0.202 0.933 0.190
H10 0.252 0.489 0.680
H11 0.268 0.288 0.925
H12 0.276 0.034 0.894
H13 0.298 0.652 0.643
H14 0.300 0.353 0.039
H15 0.326 0.858 0.887
H16 0.359 0.585 0.854
H17 0.360 0.168 0.643
H18 0.398 0.010 0.624
H19 0.408 0.902 0.989
H20 0.424 0.083 0.221
H21 0.425 0.502 0.671
H22 0.445 0.318 0.922
H23 0.468 0.914 0.201
H24 0.470 0.886 0.421
C1 0.011 0.087 0.124
C2 0.119 0.010 0.221
C3 0.293 0.517 0.844
C4 0.329 0.359 0.937
C5 0.367 0.947 0.894
C6 0.488 0.004 0.784
N1 0.047 0.920 0.354
N2 0.320 0.540 0.700
N3 0.441 0.079 0.649
Cl1 0.030 0.317 0.328
Cl2 0.140 0.308 0.660
Cl3 0.202 0.624 0.109
Cl4 0.264 0.902 0.561
Cl5 0.358 0.650 0.365
Cl6 0.390 0.309 0.335
```

This record from Materials Project describes crystalline Sb2H10C3NCl9 at its relaxed geometry. The functional is PBE.

Output
**Size of the total moment**: 0.00 μB/cell
**Formation enthalpy at 0 K**: 0.139 eV per atom
**Crystal system**: triclinic
**Total energy**: -3.43 eV per atom

CIF file:
```
data_Sb2H10C3NCl9
_chemical_formula_sum 'Sb4 H20 C6 N2 Cl18'
_cell_length_a 10.097
_cell_length_b 11.606
_cell_length_c 11.841
_cell_angle_alpha 85.91
_cell_angle_beta 86.34
_cell_angle_gamma 86.83
_space_group_name_H-M_alt 'P 1'
_space_group_IT_number 1
loop_
_space_group_symop_operation_xyz
'x,y,z'
loop_
_atom_site_label
_atom_site_fract_x
_atom_site_fract_y
_atom_site_fract_z
Sb1 0.000 0.000 0.000
Sb2 0.101 0.075 0.459
Sb3 0.375 0.106 0.395
Sb4 0.730 0.045 0.919
H1 0.003 0.699 0.850
H2 0.008 0.329 0.613
H3 0.044 0.938 0.739
H4 0.092 0.225 0.403
H5 0.207 0.616 0.481
H6 0.209 0.445 0.732
H7 0.222 0.460 0.669
H8 0.264 0.369 0.354
H9 0.399 0.785 0.450
H10 0.402 0.017 0.515
H11 0.414 0.394 0.705
H12 0.551 0.736 0.369
H13 0.558 0.844 0.471
H14 0.650 0.219 0.662
H15 0.694 0.624 0.779
H16 0.732 0.465 0.450
H17 0.742 0.453 0.947
H18 0.951 0.437 0.533
H19 0.965 0.721 0.799
H20 0.976 0.951 0.766
C1 0.311 0.441 0.301
C2 0.351 0.759 0.153
C3 0.384 0.576 0.894
C4 0.497 0.807 0.411
C5 0.837 0.478 0.980
C6 0.940 0.836 0.071
N1 0.503 0.402 0.657
N2 0.924 0.381 0.602
Cl1 0.192 0.171 0.618
Cl2 0.199 0.748 0.209
Cl3 0.208 0.870 0.575
Cl4 0.224 0.557 0.952
Cl5 0.382 0.391 0.180
Cl6 0.386 0.704 0.812
Cl7 0.453 0.460 0.532
Cl8 0.470 0.917 0.296
Cl9 0.602 0.137 0.610
Cl10 0.612 0.108 0.086
Cl11 0.771 0.233 0.833
Cl12 0.785 0.856 0.609
Cl13 0.793 0.514 0.362
Cl14 0.804 0.760 0.067
Cl15 0.820 0.724 0.509
Cl16 0.865 0.390 0.096
Cl17 0.919 0.472 0.715
Cl18 0.997 0.093 0.179
```